A plane-wave DFT calculation with PBE-GGA was carried out for TiSi2C4N2Cl4 after structural relaxation.

Structure (POSCAR):
```
TiSi2C4N2Cl4
1.0
-0.4936 11.6875 7.9759
-2.7256 -3.7825 5.3740
12.6060 -5.7840 9.2558
Ti Si C N Cl
4 8 16 8 16
Cartesian
0.3910 4.1600 4.7690
6.8731 -2.9708 6.5043
8.9957 -2.0390 17.8367
2.5136 5.0917 16.1014
1.5380 1.0269 2.4439
7.7456 0.3947 8.6139
7.8487 1.0941 20.1618
1.6411 1.7262 13.9918
11.3730 -3.6153 12.5780
5.0815 -0.9961 7.7640
-1.9863 5.7362 10.0277
4.3052 3.1170 14.8418
10.0860 -5.0332 12.8137
3.7253 -0.7748 9.1183
-0.6993 7.1542 9.7920
5.6614 2.8958 13.4874
9.9518 -4.4191 11.7043
3.5832 0.0264 8.1366
-0.5651 6.5401 10.9014
5.8035 2.0945 14.4691
0.5103 -2.2670 7.2582
6.7199 -2.9468 13.3957
8.8764 4.3879 15.3475
2.6668 5.0678 9.2100
0.6231 -2.7573 8.4266
6.8500 -3.8491 14.2830
8.7636 4.8782 14.1791
2.5367 5.9701 8.3227
0.3985 2.0467 3.0530
6.6915 -0.6075 7.8432
8.9882 0.0742 19.5527
2.6952 2.7285 14.7626
11.2505 -2.1444 13.4407
5.0779 -2.3392 6.7063
-1.8638 4.2653 9.1650
4.3088 4.4601 15.8994
9.4409 -4.1147 16.9360
3.2966 -4.9792 9.7445
-0.0542 6.2357 5.6697
6.0901 7.1002 12.8612
0.5379 3.0203 6.6349
7.0273 -4.2841 8.2516
8.8488 -0.8994 15.9708
2.3594 6.4051 14.3541
-0.2589 0.6357 9.3504
6.2018 -5.9903 11.4301
9.6456 1.4852 13.2553
3.1849 8.1112 11.1756
0.8556 -0.7382 1.7264
6.9350 1.6632 9.9667
8.5311 2.8592 20.8793
2.4517 0.4578 12.6390
```

ΔE_f ... 0.14 eV per atom
Total moment ... 1.3 μB per cell
E_tot ... -0.42654 Ry per atom